# 1
Here is crystalline MgBi3 at its relaxed geometry from the Materials Project. Energies are from GGA-PBE.

Summary:
As for the total energy: -3.288 eV per atom. As for the space group: No. 194.

Geometry as extended XYZ:
```
8
Lattice="7.007 0.000 0.000 -3.504 6.068 0.000 0.000 0.000 5.584" Properties=species:S:1:pos:R:3 pbc="T T T"
Mg 0.000 4.046 1.396
Mg 3.504 2.023 4.188
Bi 0.000 2.101 4.188
Bi -1.684 5.018 4.188
Bi 1.819 1.050 1.396
Bi 1.684 5.018 4.188
Bi 5.188 1.050 1.396
Bi 3.504 3.968 1.396
```

=====

# 2
Here is crystalline NaTmCl4 at its relaxed geometry from the Materials Project. Energies are from GGA-PBE.

Summary:
As for the total energy: -4.322 eV per atom. As for the space group: No. 13.

Geometry as extended XYZ:
```
12
Lattice="6.569 0.000 0.000 0.000 7.661 0.000 -0.411 0.000 6.741" Properties=species:S:1:pos:R:3 pbc="T T T"
Na -0.103 1.294 1.685
Na -0.308 6.367 5.056
Tm 2.976 2.604 5.056
Tm 3.182 5.057 1.685
Cl 1.349 0.950 4.055
Cl 1.555 6.711 0.685
Cl 1.854 3.038 0.432
Cl 1.648 4.623 3.803
Cl 4.510 3.038 2.938
Cl 4.304 4.623 6.308
Cl 4.603 0.950 6.056
Cl 4.808 6.711 2.686
```

=====

# 3
Here is crystalline ErB2Rh3 at its relaxed geometry from the Materials Project. Energies are from GGA-PBE.

Summary:
As for the total energy: -7.378 eV per atom. As for the space group: No. 191.

Geometry as extended XYZ:
```
6
Lattice="5.426 0.000 0.000 -2.713 4.699 0.000 0.000 0.000 3.122" Properties=species:S:1:pos:R:3 pbc="T T T"
Er 0.000 0.000 0.000
B 0.000 3.133 0.000
B 2.713 1.566 0.000
Rh -1.356 2.349 1.561
Rh 2.713 0.000 1.561
Rh 1.356 2.349 1.561
```

=====

# 4
Here is crystalline Zr2GaP3O12 at its relaxed geometry from the Materials Project. Energies are from GGA-PBE.

Summary:
As for the total energy: -7.891 eV per atom. As for the space group: No. 167.

Geometry as extended XYZ:
```
36
Lattice="4.438 2.563 8.055 -4.438 2.563 8.055 0.000 -5.125 8.055" Properties=species:S:1:pos:R:3 pbc="T T T"
Zr 0.000 0.000 3.608
Zr 0.000 0.000 8.474
Zr 0.000 0.000 15.690
Zr 0.000 0.000 20.556
Ga 0.000 0.000 0.000
Ga 0.000 0.000 12.082
P -3.162 -0.352 10.068
P -1.276 -2.915 14.096
P 1.886 -2.563 10.068
P -1.886 2.563 14.096
P 1.276 2.915 10.068
P 3.162 0.352 14.096
O -3.329 -1.260 11.306
O -3.782 1.036 10.355
O -2.788 -2.758 13.809
O -0.573 -1.612 7.279
O -1.650 -0.195 9.782
O -0.573 -3.513 12.858
O -1.110 1.302 7.279
O 0.994 -3.793 10.355
O -2.756 2.253 12.858
O -0.656 -1.527 14.382
O 0.994 -1.332 9.782
O -1.683 -0.310 16.885
O 1.683 0.310 7.279
O -0.994 1.332 14.382
O 0.656 1.527 9.782
O 2.756 -2.253 11.306
O -0.994 3.793 13.809
O 1.110 -1.302 16.885
O 0.573 3.513 11.306
O 1.650 0.195 14.382
O 0.573 1.612 16.885
O 2.788 2.758 10.355
O 3.782 -1.036 13.809
O 3.329 1.260 12.858
```